The following is a PBE calculation of a relaxed structure of LiTiRe, from Materials Project.

Final energy: -76.4 eV/cell
Total moment: 0.04 μB/cell
DFT formation energy: 1.046 eV/atom

abc: 5.962 5.962 5.962
angles: 90.00 90.00 90.00
Fractional positions:
Li  0.000  0.000  0.000
Li  0.000  0.500  0.500
Li  0.500  0.000  0.500
Li  0.500  0.500  0.000
Ti  0.250  0.250  0.750
Ti  0.250  0.750  0.250
Ti  0.750  0.250  0.250
Ti  0.750  0.750  0.750
Re  0.000  0.000  0.500
Re  0.000  0.500  0.000
Re  0.500  0.000  0.000
Re  0.500  0.500  0.500